1.
The following is a GGA+U calculation of Li3MnO2F2 after structural relaxation, from Materials Project.

Cell: 5.7040 9.3296 5.8089 Å, 90.00 90.00 72.20°
Fractional coordinates of all 32 atoms:
O: 0.7500 0.0010 0.2272
O: 0.5000 0.5009 0.2729
O: 0.2500 0.0010 0.2272
O: 0.0000 0.5009 0.2729
O: 0.2500 0.0010 0.7729
O: 0.5000 0.5009 0.7271
O: 0.7500 0.0010 0.7729
O: 0.0000 0.5009 0.7271
F: 0.1303 0.7407 0.0000
F: 0.3702 0.2610 0.0000
F: 0.8702 0.2610 0.0000
F: 0.6303 0.7407 0.0000
F: 0.1202 0.7610 0.5000
F: 0.6202 0.7610 0.5000
F: 0.3802 0.2407 0.5000
F: 0.8803 0.2407 0.5000
Li: 0.1255 0.2502 0.7498
Li: 0.0001 0.0003 0.5000
Li: 0.3755 0.7502 0.2498
Li: 0.2501 0.5003 0.0000
Li: 0.1255 0.2502 0.2502
Li: 0.8755 0.7502 0.2498
Li: 0.3755 0.7502 0.7502
Li: 0.6255 0.2502 0.2502
Li: 0.5001 0.0003 0.5000
Li: 0.6255 0.2502 0.7498
Li: 0.7501 0.5003 0.0000
Li: 0.8755 0.7502 0.7502
Mn: 0.0001 0.0007 0.9999
Mn: 0.5001 0.0007 0.9999
Mn: 0.7501 0.5007 0.4999
Mn: 0.2498 0.5009 0.5002

Values from the calculation:
M_tot	0.00	μB per formula unit
MP2020-corrected energy	-6.214	eV/atom

---

2.
The following is a GGA+U calculation of Li7MnO3F3 after structural relaxation, from Materials Project.

Cell: 5.5196 6.0751 9.7756 Å, 104.73 87.03 116.97°
Fractional coordinates of all 28 atoms:
O: 0.7917 0.2446 0.7023
O: 0.2201 0.7523 0.6047
O: 0.1725 0.7484 0.9398
O: 0.8181 0.2477 0.0594
O: 0.2999 0.2684 0.8851
O: 0.8058 0.2207 0.3780
Li: 0.9136 0.9407 0.3162
Li: 0.5291 0.3668 0.7466
Li: 0.0519 0.3672 0.2390
Li: 0.5628 0.0907 0.2071
Li: 0.9885 0.3573 0.8851
Li: 0.0034 0.6322 0.7537
Li: 0.0038 0.6315 0.0996
Li: 0.4968 0.6442 0.6027
Li: 0.4542 0.9993 0.8204
Li: 0.5325 0.3487 0.0580
Li: 0.0287 0.3546 0.5516
Li: 0.9474 0.6032 0.4436
Li: 0.4513 0.6527 0.9514
Li: 0.0181 0.0344 0.6736
F: 0.6983 0.7363 0.7821
F: 0.1431 0.7379 0.2893
F: 0.6979 0.7245 0.1212
F: 0.2831 0.2063 0.1988
F: 0.7597 0.7935 0.4826
F: 0.3175 0.2821 0.5741
Mn: 0.0176 0.0165 0.9914
Mn: 0.5217 0.0268 0.5099

Values from the calculation:
M_tot	0.00	μB per formula unit
MP2020-corrected energy	-5.331	eV/atom
space-group type	P1 (1)